## P
Li2MnB2O6: relaxed, GGA+U.

Cell and atoms, written as POSCAR:
```
Li2MnB2O6
1.0
5.4394 0.0000 0.0000
0.0000 7.7314 0.0000
-2.8087 0.0000 5.2680
Li Mn B O
4 2 4 12
direct
0.1133 0.0651 0.3095
0.1133 0.4349 0.8095
0.8867 0.5651 0.1905
0.8867 0.9349 0.6905
0.5000 0.0000 0.0000
0.5000 0.5000 0.5000
0.3721 0.7425 0.1293
0.3721 0.7575 0.6293
0.6279 0.2425 0.3707
0.6279 0.2575 0.8707
0.2264 0.6024 0.5857
0.2264 0.8976 0.0857
0.2691 0.5856 0.1578
0.2691 0.9144 0.6578
0.3870 0.2380 0.8954
0.3870 0.2620 0.3954
0.6130 0.7380 0.6046
0.6130 0.7620 0.1046
0.7309 0.0856 0.3422
0.7309 0.4144 0.8422
0.7736 0.1024 0.9143
0.7736 0.3976 0.4143
```

Values from the calculation:
- magnetic moment (μB per cell) = 6.00


## Q
Li2MnB2O6: relaxed, GGA+U.

Cell and atoms, written as POSCAR:
```
Li2MnB2O6
1.0
5.2221 0.0000 0.0000
0.0000 8.4922 0.0000
-4.5026 0.0000 9.8524
Li Mn B O
8 4 8 24
direct
0.0550 0.0376 0.3765
0.0550 0.4624 0.8765
0.4364 0.6701 0.1238
0.4364 0.8299 0.6238
0.5636 0.1701 0.3762
0.5636 0.3299 0.8762
0.9450 0.5376 0.1235
0.9450 0.9624 0.6235
0.0368 0.2138 0.1286
0.0368 0.2862 0.6286
0.9632 0.7138 0.3714
0.9632 0.7862 0.8714
0.0456 0.1336 0.8695
0.0456 0.3664 0.3695
0.4629 0.1937 0.6199
0.4629 0.3063 0.1199
0.5371 0.6937 0.8801
0.5371 0.8063 0.3801
0.9544 0.6336 0.6305
0.9544 0.8664 0.1305
0.0796 0.5160 0.3348
0.0796 0.9840 0.8348
0.1145 0.6800 0.5621
0.1145 0.8200 0.0621
0.1681 0.2459 0.3239
0.1681 0.2541 0.8239
0.2395 0.0907 0.5967
0.2395 0.4093 0.0967
0.3083 0.6574 0.9054
0.3083 0.8426 0.4054
0.4148 0.1598 0.1636
0.4148 0.3402 0.6636
0.5853 0.6598 0.3364
0.5853 0.8402 0.8364
0.6917 0.1574 0.5946
0.6917 0.3426 0.0946
0.7605 0.5907 0.9033
0.7605 0.9093 0.4033
0.8319 0.7459 0.1761
0.8319 0.7541 0.6761
0.8855 0.1800 0.9379
0.8855 0.3200 0.4379
0.9204 0.0160 0.1652
0.9204 0.4840 0.6652
```

Values from the calculation:
- magnetic moment (μB per cell) = 12.00


How do the energies compare? Relative to the most stable structure, in meV/atom: P 0; Q 8.